[1]
Computed, not measured: Cd3Hg after structural relaxation at the PBE-GGA level of DFT.

Values from the calculation:
Energy of formation from the pure elements (eV/f.u.): 0.08
Space-group type: P6_3/mmc

The structure in POSCAR format:
```
Cd3Hg
1.0
3.2015 -5.5452 0.0000
3.2015 5.5452 0.0000
0.0000 0.0000 5.1978
Hg Cd
2 6
direct
0.6667 0.3333 0.2500 Hg
0.3333 0.6667 0.7500 Hg
0.8333 0.1667 0.7500 Cd
0.6665 0.8333 0.2500 Cd
0.1667 0.8333 0.2500 Cd
0.3335 0.1667 0.7500 Cd
0.1667 0.3335 0.2500 Cd
0.8333 0.6665 0.7500 Cd
```

---

[2]
Computed, not measured: CdHg2 after structural relaxation at the PBE-GGA level of DFT.

Values from the calculation:
Energy of formation from the pure elements (eV/f.u.): 0.14
Space-group type: Fmmm

The structure in POSCAR format:
```
CdHg2
1.0
-1.4568 3.0570 -0.1306
2.8144 -0.6055 -1.5987
-3.7349 -3.9520 -6.8743
Cd Hg
1 2
direct
0.0000 0.0000 0.0000 Cd
0.6649 0.0000 0.3299 Hg
0.3351 0.0000 0.6701 Hg
```

---

[3]
Computed, not measured: CdHg2 after structural relaxation at the PBE-GGA level of DFT.

Values from the calculation:
Energy of formation from the pure elements (eV/f.u.): 0.08
Space-group type: I4/mmm

The structure in POSCAR format:
```
CdHg2
1.0
-1.3050 0.8568 -3.7973
1.6922 -3.4820 -1.3672
-4.0294 -0.8753 3.4068
Hg Cd
2 1
direct
0.6667 0.6667 0.3334 Hg
0.3333 0.3333 0.6666 Hg
0.0000 0.0000 0.0000 Cd
```

---

[4]
Computed, not measured: Cd3Hg after structural relaxation at the PBE-GGA level of DFT.

Values from the calculation:
Energy of formation from the pure elements (eV/f.u.): 0.16
Space-group type: P-6m2

The structure in POSCAR format:
```
Cd3Hg
1.0
1.5685 -2.7167 0.0000
1.5685 2.7167 0.0000
0.0000 0.0000 11.2332
Cd Hg
3 1
direct
0.3333 0.6667 0.7551 Cd
0.3333 0.6667 0.2449 Cd
0.0000 0.0000 0.0000 Cd
0.0000 0.0000 0.5000 Hg
```

---

| no. | density (g/cm3) |
| --- | --- |
| 1 | 9.678 |
| 2 | 10.364 |
| 3 | 11.262 |
| 4 | 9.329 |